Density functional theory data (PBE) for a relaxed structure of Ba3BiIr2O9.

extended XYZ file:
```
30
Lattice="-3.8802 -1.6676 4.2575 4.6690 -3.5301 -1.3044 8.3089 6.6409 10.5476" Properties=species:S:1:pos:R:3 pbc="T T T"
Ba -1.7427 -0.0205 6.8552
Ba 10.8404 1.4637 6.6455
Ba 2.6056 -2.2418 1.5230
Ba 5.1977 -0.2586 4.8431
Ba 6.4920 3.6850 11.9777
Ba 3.9000 1.7018 8.6576
Bi 0.0000 0.0000 0.0000
Bi 4.1544 3.3205 5.2738
Ir 8.7348 2.5549 9.4147
Ir 7.3094 1.6004 7.5433
Ir 0.3628 -1.1117 4.0860
Ir 1.7883 -0.1573 5.9574
O 2.4311 -0.9298 4.1398
O 6.6665 2.3730 9.3609
O -1.6313 -1.1958 4.1468
O 1.0417 0.5239 7.6796
O 10.7289 2.6390 9.3539
O 8.0560 0.9192 5.8211
O 0.5241 -1.7831 6.0177
O 0.3362 0.7953 4.8654
O 8.5735 3.2263 7.4830
O 8.7615 0.6478 8.6353
O 0.2622 -0.3435 2.2476
O 3.1509 -1.2005 6.9747
O 8.8354 1.7867 11.2531
O 5.9467 2.6436 6.5260
O 3.0215 1.4013 5.9211
O 0.3770 -2.9420 3.3108
O 6.0762 0.0419 7.5796
O 8.7206 4.3852 10.1899
```

Computed properties:
SG: C2/c
Spin magnetization (μB per formula unit): 0.59
Energy of formation (kJ/mol of atoms): -203

---

Density functional theory data (PBE) for a relaxed structure of Li5TlO4.

extended XYZ file:
```
80
Lattice="13.4214 0.0000 0.0000 0.0000 13.4214 0.0000 0.0000 0.0000 4.7905" Properties=species:S:1:pos:R:3 pbc="T T T"
Li 1.6179 11.8035 3.5929
Li 11.8035 5.0928 1.1976
Li 8.3286 1.6179 1.1976
Li 5.0928 8.3286 3.5929
Li 11.8035 1.6179 1.1976
Li 1.6179 8.3286 3.5929
Li 5.0928 11.8035 3.5929
Li 8.3286 5.0928 1.1976
Li 1.8987 1.4770 3.8969
Li 4.8120 5.2337 3.8969
Li 5.2337 1.8987 1.5016
Li 1.4770 4.8120 1.5016
Li 8.1877 8.6093 3.2889
Li 8.6093 11.9444 0.8936
Li 11.5227 8.1877 0.8936
Li 11.9444 11.5227 3.2889
Li 11.5227 11.9444 0.8936
Li 8.6093 8.1877 0.8936
Li 8.1877 11.5227 3.2889
Li 0.1548 13.2665 1.1976
Li 5.2337 4.8120 1.5016
Li 4.8120 1.4770 3.8969
Li 1.8987 5.2337 3.8969
Li 1.4770 1.8987 1.5016
Li 10.0660 3.3553 3.5929
Li 3.3553 10.0660 1.1976
Li 10.0660 3.3553 1.1976
Li 3.3553 10.0660 3.5929
Li 10.0660 10.0660 0.7472
Li 10.0660 10.0660 3.1424
Li 3.3553 3.3553 4.0434
Li 3.3553 3.3553 1.6481
Li 6.8655 6.5558 3.5929
Li 6.5558 13.2665 1.1976
Li 0.1548 6.8655 1.1976
Li 13.2665 0.1548 3.5929
Li 6.5558 6.8655 1.1976
Li 6.8655 0.1548 3.5929
Li 13.2665 6.5558 3.5929
Li 11.9444 8.6093 3.2889
Tl 6.4092 10.0660 1.0211
Tl 0.3015 10.0660 1.0211
Tl 10.0660 6.4092 3.4164
Tl 10.0660 0.3015 3.4164
Tl 3.3553 13.1199 1.3742
Tl 13.1199 3.3553 3.7694
Tl 7.0122 3.3553 3.7694
Tl 3.3553 7.0122 1.3742
O 6.8455 8.2486 4.6559
O 13.2865 11.8834 4.6559
O 11.8834 6.8455 2.2606
O 8.2486 13.2865 2.2606
O 1.5380 0.1348 2.5299
O 0.1348 5.1727 0.1347
O 6.5758 1.5380 0.1347
O 5.1727 6.5758 2.5299
O 6.5758 5.1727 0.1347
O 0.1348 1.5380 0.1347
O 1.5380 6.5758 2.5299
O 5.1727 0.1348 2.5299
O 11.8834 13.2865 2.2606
O 13.2865 8.2486 4.6559
O 6.8455 11.8834 4.6559
O 8.2486 6.8455 2.2606
O 4.8925 10.0660 2.5052
O 1.8182 10.0660 2.5052
O 10.0660 4.8925 0.1100
O 10.0660 1.8182 0.1100
O 3.3553 1.7976 0.4178
O 11.6031 3.3553 2.2853
O 8.5289 3.3553 2.2853
O 3.3553 8.5289 4.6806
O 11.6237 10.0660 1.9774
O 8.5083 10.0660 1.9774
O 10.0660 11.6237 4.3727
O 10.0660 8.5083 4.3727
O 3.3553 4.9130 0.4178
O 4.9130 3.3553 2.8131
O 1.7976 3.3553 2.8131
O 3.3553 11.6031 4.6806
```

Computed properties:
SG: P4_2/nmc
Energy of formation (kJ/mol of atoms): -180

---

Density functional theory data (PBE) for a relaxed structure of Ho5BiAu2.

extended XYZ file:
```
16
Lattice="-7.4975 -3.6447 2.4760 -4.6286 7.3432 0.5296 4.5194 -2.4241 -7.0232" Properties=species:S:1:pos:R:3 pbc="T T T"
Ho 0.0000 0.0000 0.0000
Ho -6.0630 1.8492 1.5028
Ho 1.1662 1.7634 -5.3772
Ho -5.3753 -1.5253 0.5174
Ho -4.8630 2.0895 -1.8638
Ho 0.6539 -1.8514 -2.9960
Ho -8.7729 -0.4891 1.3596
Ho -2.2314 2.7997 -4.5351
Ho -2.7437 -0.8152 -2.1539
Ho -8.2606 3.1258 -1.0216
Bi -9.0946 2.7738 2.2542
Bi -3.0315 0.9246 0.7514
Au -1.9147 -3.1929 -3.7957
Au -5.6920 4.4673 -0.2219
Au -0.4501 0.9447 -2.9785
Au -7.1565 0.3297 -1.0392
```

Computed properties:
SG: I4/mcm
Energy of formation (kJ/mol of atoms): -67